#P
The following is a DFT calculation (GGA-PBE) of a geometry-optimized Sm2In3Cu structure.

```
Sm2In3Cu
1.0
-4.130 -0.100 -2.349
0.060 -0.517 4.724
-0.655 7.516 0.831
In Sm Cu
3 2 1
direct
0.000 0.000 0.484
0.667 0.333 0.935
0.000 0.000 0.051
0.333 0.667 0.724
0.333 0.667 0.264
0.667 0.333 0.542
```

Properties
**Symmetry**: No. 156
**Crystal system**: trigonal

#Q
The following is a DFT calculation (GGA-PBE) of a geometry-optimized Sm2In3Cu structure.

```
Sm2In3Cu
1.0
-2.138 -0.706 -2.953
2.619 3.037 -2.622
5.073 -6.248 -2.178
In Sm Cu
3 2 1
direct
0.500 0.500 0.837
0.500 0.000 0.647
0.500 0.500 0.183
0.000 0.500 0.496
0.000 0.000 0.008
0.500 0.000 0.329
```

Properties
**Symmetry**: No. 25
**Crystal system**: orthorhombic

Which of them is the least stable? Correct choice: #Q.

#P
The following is a DFT calculation (GGA-PBE) of a geometry-optimized MgCu2Ir4S8 structure.

```
MgCu2Ir4S8
1.0
6.642 3.070 -0.639
2.929 -5.541 3.829
-3.994 -1.395 -6.008
S Ir Mg Cu
8 4 1 2
direct
0.624 0.872 0.248
0.625 0.376 0.752
0.624 0.375 0.248
0.141 0.860 0.282
0.128 0.376 0.752
0.140 0.859 0.718
0.141 0.422 0.282
0.578 0.859 0.718
0.901 0.634 0.267
0.366 0.099 0.733
0.366 0.634 0.267
0.366 0.634 0.733
0.500 0.500 0.000
0.000 0.000 0.000
0.750 0.250 0.500
```

Properties
**Symmetry**: No. 216
**Crystal system**: cubic

#Q
The following is a DFT calculation (GGA-PBE) of a geometry-optimized MgCu2Ir4S8 structure.

```
MgCu2Ir4S8
1.0
4.444 -5.461 1.323
-1.670 -2.955 -6.587
2.401 6.779 0.518
S Mg Cu Ir
8 1 2 4
direct
0.159 0.373 0.745
0.601 0.801 0.202
0.587 0.373 0.745
0.573 0.846 0.692
0.120 0.846 0.692
0.601 0.400 0.202
0.119 0.840 0.239
0.119 0.399 0.239
0.537 0.037 0.074
0.796 0.296 0.592
0.987 0.987 0.973
0.355 0.599 0.710
0.351 0.606 0.213
0.355 0.111 0.710
0.861 0.606 0.213
```

Properties
**Symmetry**: No. 44
**Crystal system**: orthorhombic

Which of them is the least stable? Correct choice: #P.